Here is a relaxed structure of Bi3O7 from Materials Project. Energies are from PBE.

## Properties
Energy relative to the elements in meV/atom: -1171
VASP energy in eV per atom: -5.3209
E (MP2020) in eV per formula unit: -58.018

abc: 7.939 12.082 6.909
angles: 90.00 90.00 90.00
Space group Pnma (No. 62)
Symmetry-distinct sites (fractional):
1 Bi 0.234 0.250 0.243
2 Bi 0.245 0.037 0.742
3 O 0.007 0.583 0.317
4 O 0.013 0.750 0.652
5 O 0.201 0.107 0.051
6 O 0.215 0.608 0.938